Entry 1:
Li4Fe3Co2Sn3O16 PBE+U optimized geometry; energy of formation from the pure elements = -1781 meV per atom; crystal system = monoclinic
1.0
5.286 -3.056 0.000
5.286 3.056 0.000
-0.009 0.000 9.486
Li Fe Co Sn O
4 3 2 3 16
Cartesian
0.000 0.000 0.000
0.027 0.000 4.861
3.354 0.000 5.811
6.899 0.000 0.975
1.642 0.000 2.735
6.048 1.466 7.461
6.048 -1.466 7.461
3.361 0.000 0.110
6.868 0.000 4.964
4.254 1.502 2.752
4.254 -1.502 2.752
8.612 0.000 7.489
2.617 1.286 1.417
4.249 1.481 8.603
1.723 0.000 8.556
3.332 0.000 3.829
6.057 1.524 3.808
2.617 -1.286 1.417
4.900 0.000 1.416
7.630 1.315 6.169
5.395 0.000 6.196
4.249 -1.481 8.603
6.850 0.000 8.552
6.057 -1.524 3.808
8.692 0.000 3.862
7.630 -1.315 6.169
10.465 0.000 1.777
10.465 0.000 6.644

***

Entry 2:
Li2VC2O6 PBE+U optimized geometry; energy of formation from the pure elements = -2091 meV per atom; polymorph energy (0 for the lowest one) = 0.040 eV per atom; crystal system = monoclinic
1.0
4.726 -6.361 0.000
4.726 6.361 0.000
-4.250 0.000 7.983
Li V C O
8 4 8 24
Cartesian
2.601 5.500 3.991
-0.078 3.266 6.393
2.148 2.986 2.302
1.362 1.111 7.599
0.023 -2.986 6.293
2.047 -3.266 2.401
3.486 -1.111 3.608
4.726 -5.500 0.000
-0.054 1.633 3.440
-2.179 -1.633 7.432
4.674 1.621 3.469
2.549 -1.621 7.460
4.509 3.829 1.332
2.288 0.603 1.564
2.348 2.553 5.287
0.163 -0.603 5.556
4.472 -2.553 1.295
7.049 0.655 1.546
2.384 -3.829 5.323
4.924 -0.655 5.537
0.943 5.962 6.557
-1.121 2.117 5.243
1.129 1.245 1.618
3.778 3.718 0.267
1.656 2.792 4.223
4.018 3.470 2.483
2.694 0.104 0.466
-0.996 -1.245 5.610
0.569 -0.104 4.457
1.801 2.797 6.469
1.004 -2.117 1.252
3.006 0.543 2.647
3.566 2.141 5.247
0.881 -0.543 6.638
5.913 1.284 1.666
3.781 -2.792 0.232
1.654 -3.718 4.258
3.926 -2.797 2.478
7.429 0.331 0.338
3.789 -1.284 5.658
5.304 -0.331 4.330
1.893 -3.470 6.474
5.691 -2.141 1.256
3.068 -5.962 2.566

***

Entry 3:
Ca7La3Ti5Cr5O30 PBE+U optimized geometry; energy of formation from the pure elements = -3257 meV per atom; crystal system = monoclinic
1.0
5.477 0.000 0.000
0.000 38.459 0.000
-0.018 0.000 5.521
Ca La Ti Cr O
14 6 10 10 60
Cartesian
0.000 0.000 0.000
5.477 7.600 0.006
5.477 30.859 0.006
2.600 0.000 2.800
2.596 7.677 2.788
2.596 30.782 2.788
2.720 11.491 2.372
2.720 26.968 2.372
2.725 19.229 2.359
5.313 19.229 5.161
5.321 3.829 5.162
5.321 34.630 5.162
5.447 15.440 5.519
5.447 23.019 5.519
2.618 15.395 2.746
2.618 23.064 2.746
2.708 3.841 2.406
2.708 34.618 2.406
5.346 11.522 5.199
5.346 26.937 5.199
5.387 17.361 2.578
5.387 21.098 2.578
5.395 13.446 2.574
5.395 25.013 2.574
5.404 9.531 2.576
5.404 28.928 2.576
5.411 1.871 2.584
5.411 36.588 2.584
5.414 5.775 2.587
5.414 32.684 2.587
2.645 13.466 5.339
2.643 17.352 5.338
2.643 21.107 5.338
2.645 24.992 5.339
2.652 5.780 5.340
2.652 32.679 5.340
2.656 1.883 5.341
2.656 9.550 5.337
2.656 28.909 5.337
2.656 36.576 5.341
0.305 3.844 2.669
0.305 34.615 2.669
0.358 11.527 2.655
0.358 26.932 2.655
0.395 19.229 2.712
1.091 13.792 4.112
1.091 24.667 4.112
1.099 9.272 4.139
1.099 29.187 4.139
1.116 1.582 4.099
1.116 36.877 4.099
1.122 6.108 4.089
1.122 32.351 4.089
1.124 16.959 4.105
1.124 21.500 4.105
1.405 13.758 1.348
1.405 24.701 1.348
1.427 9.282 1.358
1.427 29.177 1.358
1.443 17.004 1.367
1.443 21.455 1.367
1.460 1.600 1.390
1.460 36.859 1.390
1.461 6.094 1.395
1.461 32.364 1.395
2.180 19.229 5.432
2.185 3.820 5.409
2.185 34.638 5.409
2.238 11.472 5.436
2.238 26.987 5.436
3.110 0.000 5.244
3.115 7.746 5.242
3.114 15.422 5.261
3.114 23.037 5.261
3.115 30.713 5.242
3.860 17.634 3.766
3.860 20.825 3.766
3.868 9.947 3.801
3.864 13.135 3.775
3.864 25.324 3.775
3.868 28.512 3.801
3.878 2.221 3.792
3.878 36.238 3.792
3.888 5.473 3.791
3.888 32.986 3.791
4.167 9.935 1.051
4.167 28.523 1.051
4.174 13.144 1.077
4.174 25.315 1.077
4.193 2.270 1.049
4.193 36.188 1.049
4.206 17.651 1.057
4.206 20.808 1.057
4.215 5.425 1.050
4.215 33.033 1.050
4.930 0.000 2.443
4.930 7.706 2.461
4.930 30.752 2.461
5.008 15.392 2.488
5.008 23.067 2.488

***

Entry 4:
V3Fe2O8 PBE+U optimized geometry; energy of formation from the pure elements = -2120 meV per atom; crystal system = hexagonal
1.0
5.936 0.000 0.000
-2.968 5.140 0.000
0.000 0.000 9.478
V Fe O
6 4 16
Cartesian
0.000 1.643 0.000
-1.545 4.319 0.000
1.423 0.822 4.739
1.545 4.319 0.000
4.513 0.822 4.739
2.968 3.497 4.739
0.000 3.427 2.978
0.000 3.427 6.750
2.968 1.713 2.011
2.968 1.713 7.717
0.000 0.000 3.673
0.000 0.000 8.412
-1.365 2.639 8.242
0.000 1.708 5.783
-1.489 4.286 5.783
1.479 0.854 1.044
0.000 3.427 1.052
1.365 2.639 8.242
0.000 5.003 8.242
2.968 0.137 3.503
1.603 2.502 3.503
2.968 1.713 5.791
1.489 4.286 5.783
4.457 0.854 1.044
2.968 3.433 1.044
4.333 2.502 3.503

***

Entry 5:
Li9Fe2O8 PBE+U optimized geometry; energy of formation from the pure elements = -1922 meV per atom; polymorph energy (0 for the lowest one) = 0.000 eV per atom; crystal system = triclinic
1.0
5.539 0.000 0.000
-0.061 6.774 0.000
-2.171 -0.151 10.651
Li Fe O
18 4 16
Cartesian
0.000 0.000 0.000
0.030 2.958 0.119
-1.262 1.595 9.089
0.401 1.288 2.653
-0.772 4.645 9.709
-0.298 6.542 8.054
0.908 4.729 3.180
1.864 3.227 1.510
1.986 6.272 1.569
1.730 2.738 5.301
1.733 6.520 5.469
2.615 1.073 3.752
1.491 3.276 9.290
2.215 1.206 7.821
3.254 4.715 4.337
3.836 2.831 2.849
2.860 5.249 8.316
3.696 3.164 6.808
-0.906 1.151 5.411
0.739 4.586 6.788
2.913 1.385 0.038
4.550 4.850 1.425
-1.297 1.256 7.231
-0.020 3.278 2.038
0.121 6.247 1.956
-0.856 4.638 7.665
-0.368 -0.141 10.001
0.798 1.190 4.634
-0.225 2.830 10.200
1.284 4.630 5.059
1.447 6.204 7.342
2.666 1.427 1.922
1.758 3.149 7.341
2.873 4.651 2.323
2.441 1.440 9.835
3.549 6.575 4.789
3.620 2.671 4.776
2.688 4.631 10.181

***

Entry 6:
Li3NiF6 PBE+U optimized geometry; energy of formation from the pure elements = -2466 meV per atom; polymorph energy (0 for the lowest one) = 0.215 eV per atom; crystal system = cubic
1.0
0.000 3.816 3.816
3.816 0.000 3.816
3.816 3.816 0.000
Li Ni F
3 1 6
Cartesian
0.000 0.000 0.000
1.908 1.908 1.908
5.724 5.724 5.724
3.816 3.816 3.816
3.816 3.816 1.946
3.816 1.946 3.816
5.686 3.816 3.816
1.946 3.816 3.816
3.816 5.686 3.816
3.816 3.816 5.686

***

Entry 7:
Li3VPCO7 PBE+U optimized geometry; energy of formation from the pure elements = -2413 meV per atom; polymorph energy (0 for the lowest one) = 0.019 eV per atom; crystal system = triclinic
1.0
6.616 0.000 0.000
-0.057 8.514 0.000
-0.047 -0.917 9.953
Li V P C O
12 4 4 4 28
Cartesian
0.000 0.000 0.000
-0.020 -0.398 4.900
1.474 0.848 7.463
1.529 1.285 2.703
1.794 4.778 5.043
1.823 5.254 0.096
3.155 6.191 7.648
3.201 6.585 2.659
3.258 1.567 4.879
4.731 5.274 0.095
5.001 1.268 2.702
5.030 0.852 7.461
-0.066 4.130 7.800
-0.024 4.584 2.733
3.244 1.034 9.829
4.811 4.865 5.141
6.594 2.607 0.227
3.253 3.887 2.437
3.237 3.496 7.419
6.565 2.131 5.210
3.207 7.507 5.322
3.248 7.927 0.372
6.498 6.694 7.277
6.532 7.143 2.312
-0.026 2.644 1.788
-0.068 3.162 9.690
-0.076 6.266 8.496
1.142 0.872 9.647
1.193 1.366 4.720
2.026 4.317 7.948
2.064 4.760 2.947
3.232 -0.162 6.292
3.246 2.450 2.948
3.211 6.200 5.645
3.194 7.446 9.099
3.242 2.036 7.908
3.229 7.852 4.095
3.297 0.290 1.327
3.259 6.655 0.643
3.264 3.496 5.853
3.295 3.915 0.873
4.473 4.718 2.991
4.445 4.329 7.950
5.330 1.345 4.722
5.343 0.869 9.639
6.462 5.767 6.330
6.522 6.681 3.540
6.562 -0.579 6.955
6.589 -0.110 2.061
6.557 3.621 4.688
6.551 6.266 1.344
6.559 2.215 6.778

***

Entry 8:
LaCoB5O10 PBE+U optimized geometry; energy of formation from the pure elements = -2886 meV per atom; crystal system = monoclinic
1.0
8.890 0.000 0.000
0.000 7.677 0.000
-8.479 0.000 9.551
La Co B O
4 4 20 40
Cartesian
-1.506 1.424 2.260
-5.745 2.415 7.036
6.157 5.262 2.515
1.917 6.253 7.291
-3.189 4.531 8.358
1.051 6.984 3.582
-0.639 0.693 5.969
3.600 3.146 1.194
-4.312 5.170 5.823
-0.073 6.345 1.048
1.352 4.556 0.057
-2.887 6.960 4.832
1.935 0.272 0.493
-2.304 3.567 5.268
0.933 4.464 2.542
-3.307 7.051 7.318
-3.402 1.408 8.759
0.837 2.431 3.983
-0.426 5.246 5.568
3.813 6.269 0.792
3.718 0.626 2.234
-0.521 3.213 7.009
2.716 4.110 4.283
-1.523 7.405 9.058
3.299 0.717 4.719
-0.941 3.121 9.495
0.485 1.332 8.504
4.724 2.507 3.728
-8.120 5.525 9.466
-3.880 5.991 4.690
-7.017 0.842 8.735
-2.777 2.996 3.959
-6.495 4.143 8.478
-2.255 7.373 3.703
-0.091 5.529 2.302
-4.330 5.986 7.078
-3.433 4.005 6.141
0.806 7.511 1.366
-1.505 4.792 4.850
2.735 6.724 0.074
1.705 4.105 1.308
-2.535 7.411 6.083
-3.961 0.625 7.764
0.278 3.213 2.988
2.807 1.177 1.229
-1.433 2.661 6.004
0.237 1.194 4.161
-4.002 2.644 8.937
4.414 5.033 0.614
0.174 6.483 5.390
1.844 5.016 3.547
-2.395 6.500 8.322
0.134 4.464 6.563
4.373 7.052 1.787
2.946 0.266 3.468
-1.293 3.573 8.243
-2.323 0.953 9.477
1.916 2.885 4.702
-0.395 0.166 8.185
3.845 3.672 3.410
4.742 1.691 2.473
0.503 2.148 7.249
2.667 0.304 5.848
6.906 3.534 1.073
3.189 4.681 5.592
7.428 6.835 0.817
4.292 1.686 4.861
8.531 2.152 0.086

***

Entry 9:
YW2O4 PBE+U optimized geometry; energy of formation from the pure elements = -2022 meV per atom; polymorph energy (0 for the lowest one) = 0.000 eV per atom; crystal system = monoclinic
1.0
4.241 -5.022 0.000
4.241 5.022 0.000
-4.174 0.000 4.390
Y W O
2 4 8
Cartesian
1.110 3.773 3.292
3.197 -3.773 1.097
2.120 2.511 0.000
0.033 -2.511 2.195
4.241 0.000 0.000
2.154 0.000 2.195
1.162 0.712 0.388
-0.460 1.798 3.295
-0.925 -0.712 2.583
1.627 -1.798 1.100
2.681 1.798 3.290
5.233 0.712 1.807
4.768 -1.798 1.095
3.146 -0.712 4.002

***

Copy entry 2 word for word.
Li2VC2O6 PBE+U optimized geometry; energy of formation from the pure elements = -2091 meV per atom; polymorph energy (0 for the lowest one) = 0.040 eV per atom; crystal system = monoclinic
1.0
4.726 -6.361 0.000
4.726 6.361 0.000
-4.250 0.000 7.983
Li V C O
8 4 8 24
Cartesian
2.601 5.500 3.991
-0.078 3.266 6.393
2.148 2.986 2.302
1.362 1.111 7.599
0.023 -2.986 6.293
2.047 -3.266 2.401
3.486 -1.111 3.608
4.726 -5.500 0.000
-0.054 1.633 3.440
-2.179 -1.633 7.432
4.674 1.621 3.469
2.549 -1.621 7.460
4.509 3.829 1.332
2.288 0.603 1.564
2.348 2.553 5.287
0.163 -0.603 5.556
4.472 -2.553 1.295
7.049 0.655 1.546
2.384 -3.829 5.323
4.924 -0.655 5.537
0.943 5.962 6.557
-1.121 2.117 5.243
1.129 1.245 1.618
3.778 3.718 0.267
1.656 2.792 4.223
4.018 3.470 2.483
2.694 0.104 0.466
-0.996 -1.245 5.610
0.569 -0.104 4.457
1.801 2.797 6.469
1.004 -2.117 1.252
3.006 0.543 2.647
3.566 2.141 5.247
0.881 -0.543 6.638
5.913 1.284 1.666
3.781 -2.792 0.232
1.654 -3.718 4.258
3.926 -2.797 2.478
7.429 0.331 0.338
3.789 -1.284 5.658
5.304 -0.331 4.330
1.893 -3.470 6.474
5.691 -2.141 1.256
3.068 -5.962 2.566

***

> Which of these has the lowest energy of formation from the pure elements?

Ca7La3Ti5Cr5O30